No. 1
DFT (PBE) results for a relaxed structure of ZnS.

SG ... No. 156
ΔH_f (0 K) ... -1062 meV per atom

Lattice parameters (Å, degrees): 3.853 3.853 88.220 90.00 90.00 120.00
Sites, in units of the cell vectors:
Zn  0.000  0.000  0.000
Zn  0.000  0.000  0.071
Zn  0.000  0.000  0.143
Zn  0.000  0.000  0.214
Zn  0.000  0.000  0.357
Zn  0.000  0.000  0.429
Zn  0.000  0.000  0.571
Zn  0.000  0.000  0.643
Zn  0.000  0.000  0.786
Zn  0.000  0.000  0.857
Zn  0.333  0.667  0.107
Zn  0.333  0.667  0.250
Zn  0.333  0.667  0.321
Zn  0.333  0.667  0.464
Zn  0.333  0.667  0.536
Zn  0.333  0.667  0.679
Zn  0.333  0.667  0.750
Zn  0.333  0.667  0.893
Zn  0.333  0.667  0.964
Zn  0.667  0.333  0.036
Zn  0.667  0.333  0.179
Zn  0.667  0.333  0.286
Zn  0.667  0.333  0.393
Zn  0.667  0.333  0.500
Zn  0.667  0.333  0.607
Zn  0.667  0.333  0.714
Zn  0.667  0.333  0.821
Zn  0.667  0.333  0.929
S  0.000  0.000  0.027
S  0.000  0.000  0.098
S  0.000  0.000  0.170
S  0.000  0.000  0.241
S  0.000  0.000  0.384
S  0.000  0.000  0.455
S  0.000  0.000  0.598
S  0.000  0.000  0.670
S  0.000  0.000  0.812
S  0.000  0.000  0.884
S  0.333  0.667  0.134
S  0.333  0.667  0.277
S  0.333  0.667  0.348
S  0.333  0.667  0.491
S  0.333  0.667  0.562
S  0.333  0.667  0.705
S  0.333  0.667  0.777
S  0.333  0.667  0.920
S  0.333  0.667  0.991
S  0.667  0.333  0.063
S  0.667  0.333  0.205
S  0.667  0.333  0.313
S  0.667  0.333  0.420
S  0.667  0.333  0.527
S  0.667  0.333  0.634
S  0.667  0.333  0.741
S  0.667  0.333  0.848
S  0.667  0.333  0.955

No. 2
DFT (PBE) results for a relaxed structure of ZnS.

SG ... No. 160
ΔH_f (0 K) ... -1051 meV per atom

Lattice parameters (Å, degrees): 56.549 56.549 56.549 3.93 3.93 3.93
Sites, in units of the cell vectors:
Zn  0.000  0.000  0.000
Zn  0.056  0.056  0.056
Zn  0.093  0.093  0.093
Zn  0.148  0.148  0.148
Zn  0.185  0.185  0.185
Zn  0.241  0.241  0.241
Zn  0.278  0.278  0.278
Zn  0.315  0.315  0.315
Zn  0.370  0.370  0.370
Zn  0.444  0.444  0.444
Zn  0.500  0.500  0.500
Zn  0.556  0.556  0.556
Zn  0.630  0.630  0.630
Zn  0.685  0.685  0.685
Zn  0.741  0.741  0.741
Zn  0.796  0.796  0.796
Zn  0.870  0.870  0.870
Zn  0.926  0.926  0.926
S  0.014  0.014  0.014
S  0.069  0.069  0.069
S  0.106  0.106  0.106
S  0.162  0.162  0.162
S  0.199  0.199  0.199
S  0.255  0.255  0.255
S  0.292  0.292  0.292
S  0.329  0.329  0.329
S  0.384  0.384  0.384
S  0.458  0.458  0.458
S  0.514  0.514  0.514
S  0.569  0.569  0.569
S  0.644  0.644  0.644
S  0.699  0.699  0.699
S  0.755  0.755  0.755
S  0.810  0.810  0.810
S  0.884  0.884  0.884
S  0.940  0.940  0.940

No. 3
DFT (PBE) results for a relaxed structure of ZnS.

SG ... No. 156
ΔH_f (0 K) ... -1062 meV per atom

Lattice parameters (Å, degrees): 3.854 3.854 81.903 90.00 90.00 120.00
Sites, in units of the cell vectors:
Zn  0.000  0.000  0.000
Zn  0.000  0.000  0.077
Zn  0.000  0.000  0.192
Zn  0.000  0.000  0.269
Zn  0.000  0.000  0.423
Zn  0.000  0.000  0.538
Zn  0.000  0.000  0.654
Zn  0.000  0.000  0.769
Zn  0.000  0.000  0.885
Zn  0.333  0.667  0.038
Zn  0.333  0.667  0.154
Zn  0.333  0.667  0.308
Zn  0.333  0.667  0.385
Zn  0.333  0.667  0.500
Zn  0.333  0.667  0.577
Zn  0.333  0.667  0.731
Zn  0.333  0.667  0.808
Zn  0.333  0.667  0.923
Zn  0.667  0.333  0.115
Zn  0.667  0.333  0.231
Zn  0.667  0.333  0.346
Zn  0.667  0.333  0.462
Zn  0.667  0.333  0.615
Zn  0.667  0.333  0.692
Zn  0.667  0.333  0.846
Zn  0.667  0.333  0.962
S  0.000  0.000  0.029
S  0.000  0.000  0.106
S  0.000  0.000  0.221
S  0.000  0.000  0.298
S  0.000  0.000  0.452
S  0.000  0.000  0.567
S  0.000  0.000  0.683
S  0.000  0.000  0.798
S  0.000  0.000  0.913
S  0.333  0.667  0.067
S  0.333  0.667  0.183
S  0.333  0.667  0.337
S  0.333  0.667  0.413
S  0.333  0.667  0.529
S  0.333  0.667  0.606
S  0.333  0.667  0.760
S  0.333  0.667  0.837
S  0.333  0.667  0.952
S  0.667  0.333  0.144
S  0.667  0.333  0.260
S  0.667  0.333  0.375
S  0.667  0.333  0.490
S  0.667  0.333  0.644
S  0.667  0.333  0.721
S  0.667  0.333  0.875
S  0.667  0.333  0.990

No. 4
DFT (PBE) results for a relaxed structure of ZnS.

SG ... No. 156
ΔH_f (0 K) ... -1062 meV per atom

Lattice parameters (Å, degrees): 3.853 3.853 63.025 90.00 90.00 120.00
Sites, in units of the cell vectors:
Zn  0.000  0.000  0.000
Zn  0.000  0.000  0.100
Zn  0.000  0.000  0.200
Zn  0.000  0.000  0.300
Zn  0.000  0.000  0.500
Zn  0.000  0.000  0.650
Zn  0.000  0.000  0.750
Zn  0.000  0.000  0.850
Zn  0.333  0.667  0.050
Zn  0.333  0.667  0.250
Zn  0.333  0.667  0.400
Zn  0.333  0.667  0.550
Zn  0.333  0.667  0.700
Zn  0.333  0.667  0.900
Zn  0.667  0.333  0.150
Zn  0.667  0.333  0.350
Zn  0.667  0.333  0.450
Zn  0.667  0.333  0.600
Zn  0.667  0.333  0.800
Zn  0.667  0.333  0.950
S  0.000  0.000  0.037
S  0.000  0.000  0.137
S  0.000  0.000  0.237
S  0.000  0.000  0.337
S  0.000  0.000  0.537
S  0.000  0.000  0.687
S  0.000  0.000  0.787
S  0.000  0.000  0.887
S  0.333  0.667  0.088
S  0.333  0.667  0.288
S  0.333  0.667  0.438
S  0.333  0.667  0.587
S  0.333  0.667  0.738
S  0.333  0.667  0.937
S  0.667  0.333  0.188
S  0.667  0.333  0.387
S  0.667  0.333  0.487
S  0.667  0.333  0.637
S  0.667  0.333  0.838
S  0.667  0.333  0.987

No. 5
DFT (PBE) results for a relaxed structure of ZnS.

SG ... No. 1
ΔH_f (0 K) ... -596 meV per atom

Lattice parameters (Å, degrees): 11.868 13.709 14.094 91.09 94.05 90.60
Sites, in units of the cell vectors:
Zn  0.000  0.000  0.000
Zn  0.004  0.212  0.173
Zn  0.012  0.419  0.333
Zn  0.024  0.917  0.172
Zn  0.055  0.827  0.018
Zn  0.065  0.911  0.376
Zn  0.069  0.959  0.738
Zn  0.074  0.068  0.586
Zn  0.088  0.242  0.018
Zn  0.111  0.854  0.548
Zn  0.147  0.037  0.275
Zn  0.152  0.324  0.786
Zn  0.195  0.505  0.606
Zn  0.205  0.667  0.100
Zn  0.231  0.610  0.360
Zn  0.249  0.306  0.409
Zn  0.266  0.011  0.660
Zn  0.269  0.117  0.892
Zn  0.275  0.913  0.446
Zn  0.278  0.761  0.878
Zn  0.402  0.790  0.643
Zn  0.409  0.489  0.072
Zn  0.414  0.564  0.506
Zn  0.426  0.715  0.276
Zn  0.470  0.845  0.048
Zn  0.488  0.100  0.635
Zn  0.488  0.927  0.874
Zn  0.490  0.446  0.287
Zn  0.498  0.161  0.854
Zn  0.500  0.607  0.865
Zn  0.550  0.182  0.417
Zn  0.618  0.726  0.997
Zn  0.622  0.284  0.112
Zn  0.638  0.549  0.668
Zn  0.646  0.438  0.893
Zn  0.654  0.732  0.823
Zn  0.736  0.794  0.142
Zn  0.742  0.356  0.522
Zn  0.747  0.037  0.110
Zn  0.753  0.723  0.426
Zn  0.763  0.539  0.403
Zn  0.782  0.207  0.943
Zn  0.791  0.130  0.651
Zn  0.799  0.264  0.247
Zn  0.828  0.365  0.106
Zn  0.867  0.681  0.057
Zn  0.877  0.830  0.680
Zn  0.904  0.098  0.286
Zn  0.910  0.433  0.718
Zn  0.942  0.646  0.413
S  0.036  0.729  0.162
S  0.038  0.082  0.414
S  0.067  0.794  0.691
S  0.076  0.233  0.646
S  0.088  0.058  0.869
S  0.088  0.544  0.437
S  0.097  0.477  0.738
S  0.140  0.311  0.275
S  0.236  0.282  0.929
S  0.245  0.541  0.987
S  0.258  0.813  0.028
S  0.298  0.598  0.860
S  0.319  0.409  0.524
S  0.323  0.579  0.220
S  0.334  0.872  0.776
S  0.335  0.045  0.333
S  0.340  0.628  0.642
S  0.352  0.167  0.730
S  0.360  0.161  0.432
S  0.362  0.721  0.425
S  0.419  0.947  0.566
S  0.421  0.872  0.207
S  0.437  0.055  0.969
S  0.453  0.351  0.162
S  0.528  0.472  0.763
S  0.566  0.896  0.297
S  0.570  0.493  0.426
S  0.574  0.552  0.018
S  0.591  0.116  0.165
S  0.602  0.719  0.651
S  0.607  0.279  0.942
S  0.633  0.935  0.773
S  0.635  0.756  0.287
S  0.638  0.218  0.562
S  0.641  0.084  0.753
S  0.669  0.143  0.303
S  0.717  0.794  0.573
S  0.793  0.504  0.598
S  0.811  0.049  0.966
S  0.820  0.536  0.139
S  0.829  0.376  0.377
S  0.829  0.817  0.842
S  0.833  0.934  0.218
S  0.840  0.454  0.872
S  0.899  0.999  0.629
S  0.906  0.270  0.648
S  0.908  0.336  0.956
S  0.936  0.810  0.437
S  0.948  0.720  0.911
S  0.978  0.472  0.174

No. 6
DFT (PBE) results for a relaxed structure of ZnS.

SG ... No. 216
ΔH_f (0 K) ... -1063 meV per atom
Piezoelectric modulus e_max ... 0.05 C/m²

Lattice parameters (Å, degrees): 3.854 3.854 3.854 60.00 60.00 60.00
Sites, in units of the cell vectors:
Zn  0.000  0.000  0.000
S  0.250  0.250  0.250

Which value of ΔH_f (0 K) does entry 1 give?
-1062 meV per atom